A:
FeMo2S4 after structural relaxation. Source: the Materials Project database, functional PBE.

Structure (CIF):
```
data_FeMo2S4
_chemical_formula_sum 'Fe4 Mo8 S16'
_cell_length_a 6.422
_cell_length_b 6.757
_cell_length_c 11.964
_cell_angle_alpha 80.43
_cell_angle_beta 74.43
_cell_angle_gamma 61.62
_space_group_name_H-M_alt 'P 1'
_space_group_IT_number 1
loop_
_space_group_symop_operation_xyz
'x,y,z'
loop_
_atom_site_label
_atom_site_type_symbol
_atom_site_fract_x
_atom_site_fract_y
_atom_site_fract_z
Fe1 Fe 0.000 0.000 0.000
Fe2 Fe 0.244 0.500 0.500
Fe3 Fe 0.497 0.006 0.000
Fe4 Fe 0.741 0.506 0.500
Mo1 Mo 0.098 0.570 0.760
Mo2 Mo 0.167 0.958 0.740
Mo3 Mo 0.337 0.063 0.259
Mo4 Mo 0.379 0.458 0.240
Mo5 Mo 0.573 0.548 0.760
Mo6 Mo 0.642 0.935 0.740
Mo7 Mo 0.815 0.070 0.260
Mo8 Mo 0.905 0.452 0.239
S1 S 0.011 0.352 0.637
S2 S 0.025 0.828 0.604
S3 S 0.213 0.687 0.900
S4 S 0.232 0.157 0.866
S5 S 0.243 0.852 0.137
S6 S 0.275 0.334 0.098
S7 S 0.443 0.187 0.400
S8 S 0.476 0.668 0.361
S9 S 0.509 0.348 0.635
S10 S 0.527 0.818 0.600
S11 S 0.716 0.678 0.896
S12 S 0.729 0.153 0.863
S13 S 0.751 0.848 0.135
S14 S 0.764 0.345 0.104
S15 S 0.954 0.178 0.396
S16 S 0.968 0.674 0.364
```

B:
FeMo2S4 after structural relaxation. Source: the Materials Project database, functional PBE.

Structure (CIF):
```
data_FeMo2S4
_chemical_formula_sum 'Fe8 Mo16 S32'
_cell_length_a 11.848
_cell_length_b 6.490
_cell_length_c 13.011
_cell_angle_alpha 90.00
_cell_angle_beta 115.28
_cell_angle_gamma 90.00
_space_group_name_H-M_alt 'C 1 c 1'
_space_group_IT_number 9
loop_
_space_group_symop_operation_xyz
'x,y,z'
'x,-y,z+1/2'
'x+1/2,y+1/2,z'
'x+1/2,-y+1/2,z+1/2'
loop_
_atom_site_label
_atom_site_type_symbol
_atom_site_fract_x
_atom_site_fract_y
_atom_site_fract_z
Fe1 Fe 0.000 0.119 0.000
Fe2 Fe 0.489 0.127 0.998
Mo1 Mo 0.147 0.396 0.756
Mo2 Mo 0.154 0.141 0.259
Mo3 Mo 0.334 0.146 0.741
Mo4 Mo 0.341 0.391 0.243
S1 S 0.001 0.381 0.858
S2 S 0.011 0.129 0.365
S3 S 0.206 0.381 0.600
S4 S 0.221 0.125 0.110
S5 S 0.267 0.130 0.889
S6 S 0.282 0.378 0.399
S7 S 0.478 0.134 0.633
S8 S 0.487 0.376 0.141
```

Least stable structure: A

A:
Fe4N after structural relaxation. Source: the Materials Project database, functional PBE.

Structure (CIF):
```
data_Fe4N
_chemical_formula_sum 'Fe4 N1'
_cell_length_a 3.674
_cell_length_b 3.674
_cell_length_c 3.674
_cell_angle_alpha 90.00
_cell_angle_beta 90.00
_cell_angle_gamma 90.00
_space_group_name_H-M_alt 'P m -3 m'
_space_group_IT_number 221
_space_group_name_Hall '-P 4 2 3'
loop_
_atom_site_label
_atom_site_type_symbol
_atom_site_fract_x
_atom_site_fract_y
_atom_site_fract_z
Fe1 Fe 0.000 0.000 0.000
Fe2 Fe 0.000 0.500 0.500
N1 N 0.500 0.500 0.500
```

B:
Fe4N after structural relaxation. Source: the Materials Project database, functional PBE.

Structure (CIF):
```
data_Fe4N
_chemical_formula_sum 'Fe12 N3'
_cell_length_a 2.5754
_cell_length_b 2.5754
_cell_length_c 25.3729
_cell_angle_alpha 90.00
_cell_angle_beta 90.00
_cell_angle_gamma 120.00
_space_group_name_H-M_alt 'R -3 m'
_space_group_IT_number 166
_space_group_name_Hall '-R 3 2"'
loop_
_atom_site_label
_atom_site_type_symbol
_atom_site_fract_x
_atom_site_fract_y
_atom_site_fract_z
Fe1 Fe 0.0000 0.0000 0.1186
Fe2 Fe 0.0000 0.0000 0.3714
N1 N 0.0000 0.0000 0.5000
```

Least stable structure: B

A:
Nb5VFe2Se20 after structural relaxation. Source: the Materials Project database, functional PBE.

Structure (CIF):
```
data_Nb5VFe2Se20
_chemical_formula_sum 'Nb5 V1 Fe2 Se20'
_cell_length_a 6.960
_cell_length_b 10.264
_cell_length_c 10.839
_cell_angle_alpha 62.40
_cell_angle_beta 71.93
_cell_angle_gamma 70.43
_space_group_name_H-M_alt 'P 1'
_space_group_IT_number 1
loop_
_space_group_symop_operation_xyz
'x,y,z'
loop_
_atom_site_label
_atom_site_type_symbol
_atom_site_fract_x
_atom_site_fract_y
_atom_site_fract_z
Nb1 Nb 0.000 0.000 0.000
Nb2 Nb 0.073 0.166 0.279
Nb3 Nb 0.168 0.437 0.730
Nb4 Nb 0.510 0.997 0.997
Nb5 Nb 0.673 0.434 0.729
V1 V 0.596 0.269 0.458
Fe1 Fe 0.150 0.270 0.468
Fe2 Fe 0.520 0.166 0.265
Se1 Se 0.027 0.231 0.724
Se2 Se 0.156 0.206 0.998
Se3 Se 0.229 0.381 0.213
Se4 Se 0.281 0.471 0.452
Se5 Se 0.304 0.549 0.857
Se6 Se 0.304 0.775 0.123
Se7 Se 0.371 0.661 0.606
Se8 Se 0.371 0.885 0.872
Se9 Se 0.403 0.959 0.276
Se10 Se 0.450 0.063 0.518
Se11 Se 0.521 0.229 0.727
Se12 Se 0.648 0.204 0.005
Se13 Se 0.714 0.353 0.206
Se14 Se 0.800 0.449 0.457
Se15 Se 0.800 0.547 0.861
Se16 Se 0.813 0.768 0.119
Se17 Se 0.864 0.664 0.609
Se18 Se 0.868 0.982 0.274
Se19 Se 0.877 0.885 0.867
Se20 Se 0.949 0.082 0.536
```

B:
Nb5VFe2Se20 after structural relaxation. Source: the Materials Project database, functional PBE.

Structure (CIF):
```
data_Nb5VFe2Se20
_chemical_formula_sum 'Nb5 V1 Fe2 Se20'
_cell_length_a 9.396
_cell_length_b 3.527
_cell_length_c 18.891
_cell_angle_alpha 90.00
_cell_angle_beta 93.83
_cell_angle_gamma 90.00
_space_group_name_H-M_alt 'P 1 m 1'
_space_group_IT_number 6
loop_
_space_group_symop_operation_xyz
'x,y,z'
'x,-y,z'
loop_
_atom_site_label
_atom_site_type_symbol
_atom_site_fract_x
_atom_site_fract_y
_atom_site_fract_z
Nb1 Nb 0.000 0.000 0.000
Nb2 Nb 0.008 0.000 0.277
Nb3 Nb 0.318 0.500 0.141
Nb4 Nb 0.508 0.000 0.776
Nb5 Nb 0.817 0.500 0.640
V1 V 0.505 0.000 0.502
Fe1 Fe 0.309 0.500 0.409
Fe2 Fe 0.813 0.500 0.909
Se1 Se 0.107 0.000 0.142
Se2 Se 0.129 0.000 0.413
Se3 Se 0.217 0.500 0.002
Se4 Se 0.220 0.500 0.281
Se5 Se 0.329 0.500 0.711
Se6 Se 0.335 0.500 0.837
Se7 Se 0.336 0.500 0.535
Se8 Se 0.473 0.000 0.378
Se9 Se 0.490 0.000 0.079
Se10 Se 0.496 0.000 0.205
Se11 Se 0.605 0.000 0.640
Se12 Se 0.629 0.000 0.913
Se13 Se 0.708 0.500 0.503
Se14 Se 0.719 0.500 0.780
Se15 Se 0.822 0.500 0.037
Se16 Se 0.829 0.500 0.212
Se17 Se 0.835 0.500 0.337
Se18 Se 0.971 0.000 0.871
Se19 Se 0.988 0.000 0.579
Se20 Se 0.995 0.000 0.704
```

Least stable structure: A